A geometry-optimized Sr3MgMn2S2O5 structure, computed with PBE+U.

Cell lengths 14.132, 14.132, 14.132 Å; angles 164.00, 164.00, 22.70 degrees
Element x y z (fractional)
Sr 0.000 0.000 0.000
Sr 0.138 0.138 0.000
Sr 0.862 0.862 0.000
Mg 0.250 0.750 0.500
Mn 0.428 0.428 0.000
Mn 0.572 0.572 0.000
S 0.306 0.306 0.000
S 0.694 0.694 0.000
O 0.080 0.580 0.500
O 0.420 0.920 0.500
O 0.500 0.500 0.000
O 0.580 0.080 0.500
O 0.920 0.420 0.500

Values from the calculation:
The energy relative to the elements is -2.387 eV/atom. The magnetic moment is 8.00 μB per cell.

---

A geometry-optimized Nb2Co3O9 structure, computed with PBE+U.

Cell lengths 5.127, 5.127, 14.329 Å; angles 90.00, 90.00, 120.00 degrees
Element x y z (fractional)
Nb 0.000 0.000 0.000
Nb 0.000 0.000 0.214
Nb 0.000 0.000 0.500
Nb 0.000 0.000 0.714
Co 0.333 0.667 0.360
Co 0.333 0.667 0.860
Co 0.667 0.333 0.034
Co 0.667 0.333 0.340
Co 0.667 0.333 0.534
Co 0.667 0.333 0.840
O 0.010 0.324 0.280
O 0.010 0.686 0.780
O 0.314 0.324 0.780
O 0.314 0.990 0.280
O 0.319 0.072 0.600
O 0.319 0.247 0.100
O 0.368 0.030 0.945
O 0.368 0.338 0.445
O 0.662 0.030 0.445
O 0.662 0.632 0.945
O 0.676 0.686 0.280
O 0.676 0.990 0.780
O 0.753 0.072 0.100
O 0.753 0.681 0.600
O 0.928 0.247 0.600
O 0.928 0.681 0.100
O 0.970 0.338 0.945
O 0.970 0.632 0.445

Values from the calculation:
The energy relative to the elements is -2.040 eV/atom. The magnetic moment is 10.03 μB per cell.

---

A geometry-optimized Sr3MgV2O7 structure, computed with PBE+U.

Cell lengths 11.890, 11.890, 11.890 Å; angles 160.81, 160.81, 27.27 degrees
Element x y z (fractional)
Sr 0.000 0.000 0.000
Sr 0.158 0.158 0.000
Sr 0.842 0.842 0.000
Mg 0.750 0.250 0.500
V 0.417 0.417 0.000
V 0.583 0.583 0.000
O 0.092 0.592 0.500
O 0.288 0.288 0.000
O 0.408 0.908 0.500
O 0.500 0.500 0.000
O 0.595 0.095 0.500
O 0.712 0.712 0.000
O 0.905 0.405 0.500

Values from the calculation:
The calculation puts the offset from the most stable computed form at 2.61 eV/f.u. The energy relative to the elements is -2.625 eV/atom. The magnetic moment is 4.00 μB per cell.

---

A geometry-optimized MnBO3 structure, computed with PBE+U.

Cell lengths 4.761, 8.054, 5.921 Å; angles 106.40, 61.56, 92.51 degrees
Element x y z (fractional)
Mn 0.999 0.000 0.000
Mn 0.499 0.500 0.000
O 0.481 0.281 0.765
O 0.480 0.981 0.750
O 0.570 0.369 0.266
Mn 0.249 0.250 0.499
O 0.520 0.719 0.235
O 0.070 0.869 0.266
B 0.868 0.367 0.250
B 0.132 0.633 0.750
O 0.431 0.631 0.734
O 0.020 0.519 0.250
Mn 0.749 0.750 0.499
O 0.931 0.131 0.734
O 0.521 0.019 0.250
O 0.980 0.481 0.751
B 0.632 0.133 0.750
O 0.020 0.219 0.235
O 0.981 0.781 0.765
B 0.368 0.867 0.250

Values from the calculation:
The energy relative to the elements is -2.409 eV/atom.

---

A geometry-optimized MgTiVP3O12 structure, computed with PBE+U.

Cell lengths 8.541, 8.541, 8.541 Å; angles 60.70, 60.70, 60.70 degrees
Element x y z (fractional)
Mg 0.000 0.000 0.000
Mg 0.500 0.500 0.500
Ti 0.354 0.354 0.354
Ti 0.854 0.854 0.854
V 0.141 0.141 0.141
V 0.641 0.641 0.641
P 0.044 0.453 0.747
P 0.247 0.953 0.544
P 0.453 0.747 0.044
P 0.544 0.247 0.953
P 0.747 0.044 0.453
P 0.953 0.544 0.247
O 0.061 0.258 0.906
O 0.086 0.945 0.741
O 0.118 0.496 0.313
O 0.182 0.994 0.388
O 0.241 0.445 0.586
O 0.258 0.906 0.061
O 0.313 0.118 0.496
O 0.388 0.182 0.994
O 0.406 0.758 0.561
O 0.445 0.586 0.241
O 0.494 0.682 0.888
O 0.496 0.313 0.118
O 0.561 0.406 0.758
O 0.586 0.241 0.445
O 0.618 0.813 0.996
O 0.682 0.888 0.494
O 0.741 0.086 0.945
O 0.758 0.561 0.406
O 0.813 0.996 0.618
O 0.888 0.494 0.682
O 0.906 0.061 0.258
O 0.945 0.741 0.086
O 0.994 0.388 0.182
O 0.996 0.618 0.813

Values from the calculation:
The energy relative to the elements is -2.902 eV/atom. The magnetic moment is 4.00 μB per cell.

---

A geometry-optimized PWO4 structure, computed with PBE+U.

Cell lengths 9.790, 9.790, 16.608 Å; angles 119.75, 119.75, 31.09 degrees
Element x y z (fractional)
P 0.055 0.522 0.143
P 0.215 0.756 0.880
P 0.244 0.785 0.620
P 0.478 0.945 0.357
P 0.522 0.055 0.643
P 0.756 0.215 0.380
P 0.785 0.244 0.120
P 0.945 0.478 0.857
W 0.000 0.500 0.500
W 0.155 0.623 0.012
W 0.310 0.690 0.250
W 0.377 0.845 0.488
W 0.500 0.000 0.000
W 0.623 0.155 0.512
W 0.690 0.310 0.750
W 0.845 0.377 0.988
O 0.046 0.937 0.133
O 0.058 0.553 0.239
O 0.063 0.954 0.367
O 0.136 0.712 0.914
O 0.152 0.582 0.132
O 0.213 0.238 0.074
O 0.232 0.303 0.926
O 0.238 0.213 0.574
O 0.284 0.578 0.545
O 0.288 0.864 0.586
O 0.303 0.232 0.426
O 0.328 0.573 0.788
O 0.418 0.848 0.368
O 0.422 0.716 0.955
O 0.427 0.672 0.712
O 0.447 0.942 0.261
O 0.553 0.058 0.739
O 0.573 0.328 0.288
O 0.578 0.284 0.045
O 0.582 0.152 0.632
O 0.672 0.427 0.212
O 0.697 0.768 0.574
O 0.712 0.136 0.414
O 0.716 0.422 0.455
O 0.762 0.787 0.426
O 0.768 0.697 0.074
O 0.787 0.762 0.926
O 0.848 0.418 0.868
O 0.864 0.288 0.086
O 0.937 0.046 0.633
O 0.942 0.447 0.761
O 0.954 0.063 0.867

Values from the calculation:
The calculation puts the offset from the most stable computed form at 0.92 eV/f.u. The energy relative to the elements is -2.112 eV/atom. The magnetic moment is 24.00 μB per cell.

---

A geometry-optimized Ca5V3O13 structure, computed with PBE+U.

Cell lengths 9.928, 9.928, 7.041 Å; angles 90.00, 90.00, 120.00 degrees
Element x y z (fractional)
Ca 0.004 0.755 0.250
Ca 0.245 0.249 0.250
Ca 0.249 0.004 0.750
Ca 0.333 0.667 0.502
Ca 0.333 0.667 0.998
Ca 0.667 0.333 0.002
Ca 0.667 0.333 0.498
Ca 0.751 0.996 0.250
Ca 0.755 0.751 0.750
Ca 0.996 0.245 0.750
V 0.029 0.400 0.250
V 0.370 0.971 0.250
V 0.400 0.370 0.750
V 0.600 0.630 0.250
V 0.630 0.029 0.750
V 0.971 0.600 0.750
O 0.000 0.000 0.250
O 0.000 0.000 0.750
O 0.090 0.338 0.055
O 0.090 0.338 0.445
O 0.134 0.605 0.250
O 0.170 0.675 0.750
O 0.248 0.910 0.055
O 0.248 0.910 0.445
O 0.325 0.495 0.750
O 0.338 0.248 0.555
O 0.338 0.248 0.945
O 0.395 0.529 0.250
O 0.471 0.866 0.250
O 0.495 0.170 0.250
O 0.505 0.830 0.750
O 0.529 0.134 0.750
O 0.605 0.471 0.750
O 0.662 0.752 0.055
O 0.662 0.752 0.445
O 0.675 0.505 0.250
O 0.752 0.090 0.555
O 0.752 0.090 0.945
O 0.830 0.325 0.250
O 0.866 0.395 0.750
O 0.910 0.662 0.555
O 0.910 0.662 0.945

Values from the calculation:
The energy relative to the elements is -2.948 eV/atom. The magnetic moment is 2.00 μB per cell.

---

A geometry-optimized YCrO2 structure, computed with PBE+U.

Cell lengths 7.310, 7.310, 7.310 Å; angles 130.45, 130.45, 72.68 degrees
Element x y z (fractional)
Y 0.000 0.000 0.000
Y 0.000 0.000 0.500
Y 0.000 0.500 0.000
Y 0.500 0.000 0.500
Cr 0.000 0.500 0.500
Cr 0.500 0.000 0.000
Cr 0.500 0.500 0.000
Cr 0.500 0.500 0.500
O 0.203 0.231 0.529
O 0.203 0.674 0.971
O 0.231 0.203 0.029
O 0.326 0.797 0.529
O 0.674 0.203 0.471
O 0.769 0.797 0.971
O 0.797 0.326 0.029
O 0.797 0.769 0.471

Values from the calculation:
The energy relative to the elements is -2.442 eV/atom. The magnetic moment is 13.04 μB per cell.